(1)
Entry from Materials Project: a relaxed Co2P3O10 crystal (meta-GGA r2SCAN).

As for the crystal system: monoclinic. The symmetry is No. 11.

Cell lengths 8.254, 4.669, 8.843 Å; angles 81.56, 90.00, 90.00 degrees
Element x y z (fractional)
O1 0.750 0.216 0.233
O2 0.096 0.771 0.491
O3 0.596 0.686 0.182
O4 0.596 0.833 0.785
O5 0.250 0.784 0.767
O6 0.404 0.167 0.215
O7 0.904 0.686 0.182
O8 0.404 0.314 0.818
O9 0.904 0.833 0.785
O10 0.250 0.297 0.543
O11 0.250 0.594 0.283
O12 0.096 0.167 0.215
O13 0.750 0.406 0.717
O14 0.596 0.229 0.509
O15 0.750 0.486 0.976
O16 0.250 0.514 0.024
O17 0.750 0.703 0.457
O18 0.904 0.229 0.509
O19 0.404 0.771 0.491
O20 0.096 0.314 0.818
P1 0.750 0.390 0.540
P2 0.250 0.331 0.188
P3 0.750 0.669 0.812
P4 0.250 0.469 0.850
P5 0.250 0.610 0.460
P6 0.750 0.531 0.150
Co1 0.574 0.952 0.332
Co2 0.426 0.048 0.668
Co3 0.926 0.952 0.332
Co4 0.074 0.048 0.668

=====

(2)
Entry from Materials Project: a relaxed Co2P2O7 crystal (meta-GGA r2SCAN).

As for the crystal system: monoclinic. As for the polymorph energy (0 for the lowest one): 0.002 eV/atom. The symmetry is No. 14.

Cell lengths 8.315, 7.002, 8.976 Å; angles 66.70, 90.00, 90.00 degrees
Element x y z (fractional)
O1 0.089 0.518 0.343
O2 0.244 0.883 0.703
O3 0.110 0.121 0.309
O4 0.733 0.380 0.952
O5 0.332 0.250 0.100
O6 0.911 0.482 0.657
O7 0.411 0.518 0.843
O8 0.098 0.023 0.882
O9 0.402 0.023 0.382
O10 0.598 0.977 0.618
O11 0.114 0.441 0.899
O12 0.890 0.879 0.691
O13 0.668 0.750 0.900
O14 0.589 0.482 0.157
O15 0.256 0.883 0.203
O16 0.832 0.750 0.400
O17 0.390 0.121 0.809
O18 0.168 0.250 0.600
O19 0.233 0.620 0.548
O20 0.886 0.559 0.101
O21 0.902 0.977 0.118
O22 0.756 0.117 0.297
O23 0.610 0.879 0.191
O24 0.767 0.380 0.452
O25 0.614 0.559 0.601
O26 0.267 0.620 0.048
O27 0.386 0.441 0.399
O28 0.744 0.117 0.797
P1 0.723 0.535 0.032
P2 0.268 0.063 0.258
P3 0.232 0.063 0.758
P4 0.223 0.465 0.468
P5 0.768 0.937 0.242
P6 0.777 0.535 0.532
P7 0.277 0.465 0.968
P8 0.732 0.937 0.742
Co1 0.073 0.767 0.108
Co2 0.427 0.767 0.608
Co3 0.436 0.697 0.183
Co4 0.573 0.233 0.392
Co5 0.927 0.233 0.892
Co6 0.564 0.303 0.817
Co7 0.936 0.303 0.317
Co8 0.064 0.697 0.683

=====

| no. | magnetization (μB/cell) | final energy (eV/atom) | formation energy from the elements (kcal/mol of atoms) |
| --- | --- | --- | --- |
| 1 | 14.00 | -9.582 | -46.93 |
| 2 | 24.00 | -9.864 | -46.58 |